{
  "formula": "Li4MnCo2O7",
  "functional": "PBE+U",
  "state": "optimized geometry",
  "formation_energy_ev_per_atom": -1.799,
  "dft_energy_ev_per_atom": -5.79,
  "vol_a3_per_cell": 255.6,
  "polymorph_energy_ev_per_atom": 0.085,
  "lattice": [[3.021, 0.000, 0.000], [1.268, 4.950, 0.000], [0.472, 1.232, 17.095]],
  "species": ["Li", "Li", "Li", "Li", "Li", "Li", "Li", "Li", "Mn", "Mn", "Co", "Co", "Co", "Co", "O", "O", "O", "O", "O", "O", "O", "O", "O", "O", "O", "O", "O", "O"],
  "frac_coords": [[0.000, 0.000, 0.000], [0.002, 0.997, 0.500], [0.149, 0.716, 0.287], [0.287, 0.420, 0.571], [0.432, 0.140, 0.855], [0.575, 0.852, 0.141], [0.717, 0.576, 0.427], [0.855, 0.282, 0.713], [0.716, 0.570, 0.927], [0.857, 0.282, 0.216], [0.140, 0.713, 0.781], [0.288, 0.426, 0.071], [0.440, 0.135, 0.364], [0.570, 0.862, 0.636], [0.048, 0.843, 0.887], [0.088, 0.882, 0.390], [0.188, 0.558, 0.175], [0.236, 0.591, 0.679], [0.358, 0.280, 0.453], [0.386, 0.297, 0.967], [0.517, 0.016, 0.257], [0.519, 0.975, 0.742], [0.646, 0.716, 0.546], [0.662, 0.694, 0.032], [0.773, 0.442, 0.822], [0.775, 0.405, 0.320], [0.914, 0.158, 0.110], [0.920, 0.115, 0.609]]
}

***

{
  "formula": "Li3MnCoO5",
  "functional": "PBE+U",
  "state": "optimized geometry",
  "formation_energy_ev_per_atom": -1.896,
  "dft_energy_ev_per_atom": -5.90,
  "vol_a3_per_cell": 179.6,
  "polymorph_energy_ev_per_atom": 0.064,
  "lattice": [[2.971, 0.000, 0.000], [-0.378, 5.965, 0.000], [-1.245, -1.388, 10.136]],
  "species": ["Li", "Li", "Li", "Li", "Li", "Li", "Mn", "Mn", "Co", "Co", "O", "O", "O", "O", "O", "O", "O", "O", "O", "O"],
  "frac_coords": [[0.000, 0.000, 0.000], [0.014, 0.478, 0.000], [0.204, 0.085, 0.390], [0.413, 0.698, 0.804], [0.602, 0.279, 0.187], [0.803, 0.889, 0.592], [0.416, 0.182, 0.802], [0.812, 0.388, 0.590], [0.204, 0.589, 0.390], [0.597, 0.794, 0.185], [0.075, 0.016, 0.195], [0.136, 0.555, 0.204], [0.273, 0.631, 0.585], [0.347, 0.149, 0.602], [0.495, 0.237, 0.981], [0.517, 0.738, 0.013], [0.669, 0.820, 0.378], [0.735, 0.354, 0.398], [0.890, 0.967, 0.795], [0.930, 0.409, 0.788]]
}

***

{
  "formula": "Li7Mn4CoO12",
  "functional": "PBE+U",
  "state": "optimized geometry",
  "formation_energy_ev_per_atom": -2.078,
  "dft_energy_ev_per_atom": -6.24,
  "vol_a3_per_cell": 430.9,
  "polymorph_energy_ev_per_atom": 0.006,
  "lattice": [[5.085, 0.000, 0.000], [-2.457, 8.291, 0.000], [-1.413, -0.471, 10.222]],
  "species": ["Li", "Li", "Li", "Li", "Li", "Li", "Li", "Li", "Li", "Li", "Li", "Li", "Li", "Li", "Mn", "Mn", "Mn", "Mn", "Mn", "Mn", "Mn", "Mn", "Co", "Co", "O", "O", "O", "O", "O", "O", "O", "O", "O", "O", "O", "O", "O", "O", "O", "O", "O", "O", "O", "O", "O", "O", "O", "O"],
  "frac_coords": [[0.000, 0.000, 0.000], [0.001, 0.332, 0.991], [0.004, 0.002, 0.507], [0.011, 0.332, 0.500], [0.014, 0.674, 0.500], [0.016, 0.164, 0.761], [0.018, 0.502, 0.252], [0.018, 0.671, 0.999], [0.021, 0.844, 0.748], [0.023, 0.501, 0.756], [0.025, 0.169, 0.255], [0.039, 0.842, 0.251], [0.514, 0.922, 0.627], [0.518, 0.919, 0.125], [0.509, 0.753, 0.873], [0.513, 0.085, 0.877], [0.513, 0.250, 0.626], [0.514, 0.590, 0.624], [0.516, 0.087, 0.377], [0.516, 0.250, 0.127], [0.519, 0.588, 0.127], [0.523, 0.756, 0.378], [0.511, 0.418, 0.876], [0.520, 0.421, 0.379], [0.272, 0.556, 0.932], [0.273, 0.199, 0.936], [0.286, 0.214, 0.429], [0.286, 0.878, 0.927], [0.288, 0.057, 0.701], [0.288, 0.386, 0.678], [0.291, 0.705, 0.694], [0.291, 0.882, 0.429], [0.298, 0.056, 0.202], [0.302, 0.553, 0.445], [0.303, 0.708, 0.206], [0.307, 0.386, 0.203], [0.729, 0.459, 0.557], [0.731, 0.130, 0.551], [0.733, 0.632, 0.795], [0.735, 0.129, 0.051], [0.736, 0.778, 0.045], [0.737, 0.783, 0.555], [0.737, 0.955, 0.821], [0.745, 0.457, 0.070], [0.747, 0.957, 0.326], [0.749, 0.292, 0.326], [0.751, 0.627, 0.327], [0.753, 0.282, 0.818]]
}

***

{
  "formula": "LiMn4Co2O12",
  "functional": "PBE+U",
  "state": "optimized geometry",
  "formation_energy_ev_per_atom": -1.563,
  "dft_energy_ev_per_atom": -6.51,
  "vol_a3_per_cell": 227.3,
  "polymorph_energy_ev_per_atom": 0.022,
  "lattice": [[5.061, 0.000, 0.000], [2.522, 4.391, 0.000], [0.311, -0.173, 10.230]],
  "species": ["Li", "Mn", "Mn", "Mn", "Mn", "Co", "Co", "O", "O", "O", "O", "O", "O", "O", "O", "O", "O", "O", "O"],
  "frac_coords": [[0.000, 0.000, 0.000], [0.165, 0.513, 0.749], [0.169, 0.007, 0.258], [0.834, 0.176, 0.742], [0.838, 0.677, 0.251], [0.498, 0.843, 0.745], [0.503, 0.341, 0.255], [0.151, 0.179, 0.845], [0.160, 0.697, 0.151], [0.161, 0.350, 0.347], [0.166, 0.835, 0.649], [0.495, 0.509, 0.842], [0.500, 0.679, 0.346], [0.503, 0.178, 0.654], [0.509, 0.002, 0.158], [0.840, 0.855, 0.848], [0.840, 0.996, 0.352], [0.844, 0.507, 0.653], [0.850, 0.328, 0.156]]
}

***

{
  "formula": "Li5Mn2CoO8",
  "functional": "PBE+U",
  "state": "optimized geometry",
  "formation_energy_ev_per_atom": -1.941,
  "dft_energy_ev_per_atom": -5.95,
  "vol_a3_per_cell": 143.9,
  "polymorph_energy_ev_per_atom": 0.093,
  "lattice": [[4.900, -1.447, 0.000], [4.900, 1.447, 0.000], [-1.654, 0.000, 10.154]],
  "species": ["Li", "Li", "Li", "Li", "Li", "Mn", "Mn", "Co", "O", "O", "O", "O", "O", "O", "O", "O"],
  "frac_coords": [[0.000, 0.000, 0.000], [0.250, 0.250, 0.371], [0.494, 0.494, 0.732], [0.500, 0.500, 0.264], [0.985, 0.985, 0.489], [0.249, 0.249, 0.870], [0.752, 0.752, 0.129], [0.735, 0.735, 0.593], [0.137, 0.137, 0.171], [0.141, 0.141, 0.702], [0.357, 0.357, 0.055], [0.364, 0.364, 0.564], [0.620, 0.620, 0.441], [0.641, 0.641, 0.935], [0.863, 0.863, 0.825], [0.864, 0.864, 0.287]]
}

***

{
  "formula": "Li7Mn2Co3O12",
  "functional": "PBE+U",
  "state": "optimized geometry",
  "formation_energy_ev_per_atom": -1.871,
  "dft_energy_ev_per_atom": -5.87,
  "vol_a3_per_cell": 212.9,
  "polymorph_energy_ev_per_atom": 0.063,
  "lattice": [[2.942, 0.000, 0.000], [-1.462, 6.295, 0.000], [-0.470, -2.987, 11.497]],
  "species": ["Li", "Li", "Li", "Li", "Li", "Li", "Li", "Mn", "Mn", "Co", "Co", "Co", "O", "O", "O", "O", "O", "O", "O", "O", "O", "O", "O", "O"],
  "frac_coords": [[0.000, 0.000, 0.000], [0.001, 0.993, 0.498], [0.323, 0.657, 0.585], [0.327, 0.661, 0.334], [0.331, 0.657, 0.826], [0.661, 0.327, 0.169], [0.674, 0.344, 0.663], [0.341, 0.664, 0.081], [0.988, 0.986, 0.745], [0.668, 0.346, 0.423], [0.674, 0.329, 0.913], [0.997, 0.001, 0.251], [0.136, 0.325, 0.531], [0.150, 0.317, 0.804], [0.177, 0.312, 0.294], [0.191, 0.338, 0.027], [0.480, 0.999, 0.640], [0.481, 0.018, 0.370], [0.514, 0.012, 0.863], [0.523, 0.988, 0.127], [0.816, 0.678, 0.204], [0.819, 0.634, 0.450], [0.836, 0.686, 0.712], [0.860, 0.650, 0.961]]
}

***

{
  "formula": "Li7Mn2Co3O12",
  "functional": "PBE+U",
  "state": "optimized geometry",
  "formation_energy_ev_per_atom": -1.891,
  "dft_energy_ev_per_atom": -5.89,
  "vol_a3_per_cell": 214.2,
  "polymorph_energy_ev_per_atom": 0.042,
  "lattice": [[5.883, 0.000, 0.000], [-1.493, 6.349, 0.000], [-2.940, -1.475, 5.734]],
  "species": ["Li", "Li", "Li", "Li", "Li", "Li", "Li", "Mn", "Mn", "Co", "Co", "Co", "O", "O", "O", "O", "O", "O", "O", "O", "O", "O", "O", "O"],
  "frac_coords": [[0.000, 0.000, 0.000], [0.242, 0.673, 0.164], [0.244, 0.324, 0.836], [0.247, 0.999, 0.495], [0.753, 0.001, 0.505], [0.756, 0.676, 0.164], [0.758, 0.327, 0.836], [0.002, 0.667, 0.671], [0.998, 0.333, 0.329], [0.485, 0.321, 0.323], [0.500, 0.000, 0.000], [0.515, 0.679, 0.677], [0.117, 0.652, 0.430], [0.127, 0.340, 0.110], [0.134, 0.978, 0.754], [0.353, 0.346, 0.564], [0.358, 0.669, 0.903], [0.391, 0.017, 0.252], [0.609, 0.983, 0.748], [0.642, 0.331, 0.097], [0.647, 0.654, 0.436], [0.866, 0.022, 0.246], [0.873, 0.660, 0.890], [0.883, 0.348, 0.570]]
}

***

{
  "formula": "Li2Mn3CoO8",
  "functional": "PBE+U",
  "state": "optimized geometry",
  "formation_energy_ev_per_atom": -1.948,
  "dft_energy_ev_per_atom": -6.65,
  "vol_a3_per_cell": 572.4,
  "polymorph_energy_ev_per_atom": 0.005,
  "lattice": [[8.303, 0.000, 0.000], [0.000, 8.303, 0.000], [0.000, 0.000, 8.303]],
  "species": ["Li", "Li", "Li", "Li", "Li", "Li", "Li", "Li", "Mn", "Mn", "Mn", "Mn", "Mn", "Mn", "Mn", "Mn", "Mn", "Mn", "Mn", "Mn", "Co", "Co", "Co", "Co", "O", "O", "O", "O", "O", "O", "O", "O", "O", "O", "O", "O", "O", "O", "O", "O", "O", "O", "O", "O", "O", "O", "O", "O", "O", "O", "O", "O", "O", "O", "O", "O"],
  "frac_coords": [[0.124, 0.124, 0.124], [0.248, 0.752, 0.252], [0.252, 0.248, 0.752], [0.376, 0.876, 0.624], [0.624, 0.376, 0.876], [0.748, 0.748, 0.748], [0.752, 0.252, 0.248], [0.876, 0.624, 0.376], [0.122, 0.876, 0.877], [0.123, 0.622, 0.624], [0.124, 0.377, 0.378], [0.376, 0.623, 0.878], [0.377, 0.378, 0.124], [0.378, 0.124, 0.377], [0.622, 0.624, 0.123], [0.623, 0.878, 0.376], [0.624, 0.123, 0.622], [0.876, 0.877, 0.122], [0.877, 0.122, 0.876], [0.878, 0.376, 0.623], [0.003, 0.997, 0.497], [0.497, 0.003, 0.997], [0.503, 0.503, 0.503], [0.997, 0.497, 0.003], [0.102, 0.872, 0.107], [0.107, 0.102, 0.872], [0.114, 0.386, 0.614], [0.122, 0.853, 0.640], [0.128, 0.607, 0.398], [0.136, 0.636, 0.864], [0.140, 0.378, 0.147], [0.147, 0.140, 0.378], [0.353, 0.860, 0.878], [0.360, 0.622, 0.647], [0.364, 0.364, 0.364], [0.372, 0.393, 0.898], [0.378, 0.147, 0.140], [0.386, 0.614, 0.114], [0.393, 0.898, 0.372], [0.398, 0.128, 0.607], [0.602, 0.628, 0.893], [0.607, 0.398, 0.128], [0.614, 0.114, 0.386], [0.622, 0.647, 0.360], [0.628, 0.893, 0.602], [0.636, 0.864, 0.136], [0.640, 0.122, 0.853], [0.647, 0.360, 0.622], [0.853, 0.640, 0.122], [0.860, 0.878, 0.353], [0.864, 0.136, 0.636], [0.872, 0.107, 0.102], [0.878, 0.353, 0.860], [0.886, 0.886, 0.886], [0.893, 0.602, 0.628], [0.898, 0.372, 0.393]]
}